The following is a r²SCAN calculation of crystalline Ca3MnO4 at its relaxed geometry, from the Materials Project database.

Energy relative to the elements = -23.1 eV per formula unit

Cell lengths 5.751, 5.776, 6.674 Å; angles 89.99, 106.87, 99.43 degrees
Positions (direct):
Ca (0.000, 0.500, 0.250)
Ca (0.000, 0.500, 0.750)
Ca (0.498, 0.246, 0.374)
Ca (0.498, 0.246, 0.874)
Ca (0.502, 0.754, 0.626)
Ca (0.502, 0.754, 0.126)
Mn (0.000, 0.000, 0.500)
Mn (0.000, 0.000, 0.000)
O (0.762, 0.119, 0.691)
O (0.762, 0.119, 0.191)
O (0.238, 0.881, 0.309)
O (0.238, 0.881, 0.809)
O (0.249, 0.368, 0.562)
O (0.249, 0.368, 0.062)
O (0.751, 0.632, 0.438)
O (0.751, 0.632, 0.938)